DFT (r²SCAN) results for LuWO4 after structural relaxation.

```
data_LuWO4
_cell_length_a 5.0442
_cell_length_b 5.3795
_cell_length_c 5.1695
_cell_angle_alpha 90.00
_cell_angle_beta 96.91
_cell_angle_gamma 90.00
_symmetry_space_group_name_H-M 'P 1 2/c 1'
_symmetry_Int_Tables_number 13
_symmetry_space_group_name_Hall '-P 2yc'
loop_
_atom_site_label
_atom_site_type_symbol
_atom_site_fract_x
_atom_site_fract_y
_atom_site_fract_z
_atom_site_occupancy
Lu1 Lu 0.0000 0.2350 0.2500 1
W1 W 0.5000 0.3025 0.7500 1
O1 O 0.2401 0.0816 0.6035 1
O2 O 0.2611 0.4344 0.9893 1
```

**ΔH_f (0 K)**: -2.978 eV per atom